# 1
DFT (GGA-PBE) results for a geometry-optimized CeGePt structure.

Results
Final energy, Ry per atom: -0.4814
Volume, Å³ per atom: 20.7

Unit cell a=4.421 b=5.832 c=5.673 alpha=95.23 beta=112.93 gamma=67.72
Fractional coordinates of all 6 atoms:
Ce 0.766 0.690 0.222
Ce 0.234 0.310 0.778
Ge 0.068 0.089 0.226
Ge 0.932 0.911 0.774
Pt 0.530 0.291 0.351
Pt 0.470 0.709 0.649

# 2
DFT (GGA-PBE) results for a geometry-optimized In2P2O7 structure.

Results
Final energy, Ry per atom: -0.4833
Volume, Å³ per atom: 15.3

Unit cell a=10.623 b=7.657 c=8.616 alpha=73.63 beta=90.00 gamma=90.00
Fractional coordinates of all 44 atoms:
In 0.680 0.328 0.065
In 0.180 0.672 0.435
In 0.320 0.672 0.935
In 0.820 0.328 0.565
In 0.601 0.739 0.242
In 0.101 0.261 0.258
In 0.399 0.261 0.758
In 0.899 0.739 0.742
P 0.635 0.936 0.809
P 0.135 0.064 0.691
P 0.365 0.064 0.191
P 0.865 0.936 0.309
P 0.598 0.630 0.674
P 0.098 0.370 0.826
P 0.402 0.370 0.326
P 0.902 0.630 0.174
O 0.605 0.817 0.979
O 0.105 0.183 0.521
O 0.395 0.183 0.021
O 0.895 0.817 0.479
O 0.577 0.126 0.765
O 0.077 0.874 0.735
O 0.423 0.874 0.235
O 0.923 0.126 0.265
O 0.569 0.834 0.687
O 0.069 0.166 0.813
O 0.431 0.166 0.313
O 0.931 0.834 0.187
O 0.729 0.573 0.750
O 0.229 0.427 0.750
O 0.271 0.427 0.250
O 0.771 0.573 0.250
O 0.908 0.636 0.999
O 0.408 0.364 0.501
O 0.092 0.364 0.001
O 0.592 0.636 0.499
O 0.776 0.955 0.766
O 0.276 0.045 0.734
O 0.224 0.045 0.234
O 0.724 0.955 0.266
O 0.996 0.493 0.721
O 0.496 0.507 0.779
O 0.004 0.507 0.279
O 0.504 0.493 0.221

# 3
DFT (GGA-PBE) results for a geometry-optimized TiCrCuS4 structure.

Results
Volume, Å³ per atom: 17.6
Polymorph energy (0 for the lowest one), meV per atom: 0

Unit cell a=7.034 b=7.034 c=7.034 alpha=120.62 beta=119.20 gamma=90.16
Fractional coordinates of all 14 atoms:
Ti 0.000 0.500 0.000
Ti 0.000 0.000 0.500
Cr 0.500 0.500 0.000
Cr 0.000 0.500 0.500
Cu 0.624 0.874 0.750
Cu 0.376 0.126 0.250
S 0.233 0.743 0.490
S 0.753 0.743 0.010
S 0.756 0.739 0.483
S 0.756 0.273 0.017
S 0.767 0.257 0.510
S 0.247 0.257 0.990
S 0.244 0.261 0.517
S 0.244 0.727 0.983

Please write out number 2 again, unchanged.
DFT (GGA-PBE) results for a geometry-optimized In2P2O7 structure.

Results
Final energy, Ry per atom: -0.4833
Volume, Å³ per atom: 15.3

Unit cell a=10.623 b=7.657 c=8.616 alpha=73.63 beta=90.00 gamma=90.00
Fractional coordinates of all 44 atoms:
In 0.680 0.328 0.065
In 0.180 0.672 0.435
In 0.320 0.672 0.935
In 0.820 0.328 0.565
In 0.601 0.739 0.242
In 0.101 0.261 0.258
In 0.399 0.261 0.758
In 0.899 0.739 0.742
P 0.635 0.936 0.809
P 0.135 0.064 0.691
P 0.365 0.064 0.191
P 0.865 0.936 0.309
P 0.598 0.630 0.674
P 0.098 0.370 0.826
P 0.402 0.370 0.326
P 0.902 0.630 0.174
O 0.605 0.817 0.979
O 0.105 0.183 0.521
O 0.395 0.183 0.021
O 0.895 0.817 0.479
O 0.577 0.126 0.765
O 0.077 0.874 0.735
O 0.423 0.874 0.235
O 0.923 0.126 0.265
O 0.569 0.834 0.687
O 0.069 0.166 0.813
O 0.431 0.166 0.313
O 0.931 0.834 0.187
O 0.729 0.573 0.750
O 0.229 0.427 0.750
O 0.271 0.427 0.250
O 0.771 0.573 0.250
O 0.908 0.636 0.999
O 0.408 0.364 0.501
O 0.092 0.364 0.001
O 0.592 0.636 0.499
O 0.776 0.955 0.766
O 0.276 0.045 0.734
O 0.224 0.045 0.234
O 0.724 0.955 0.266
O 0.996 0.493 0.721
O 0.496 0.507 0.779
O 0.004 0.507 0.279
O 0.504 0.493 0.221